# 1
This record from the Materials Project database describes a geometry-optimized KGdMo2O8 structure. The functional is PBE with a Hubbard U.

CIF file:
```
data_KGdMo2O8
_chemical_formula_sum 'K4 Gd4 Mo8 O32'
_cell_length_a 10.8488
_cell_length_b 10.5201
_cell_length_c 7.8387
_cell_angle_alpha 90.00
_cell_angle_beta 131.32
_cell_angle_gamma 90.00
_symmetry_space_group_name_H-M 'C 1 2/c 1'
_symmetry_Int_Tables_number 15
_symmetry_space_group_name_Hall '-C 2yc'
loop_
_atom_site_label
_atom_site_type_symbol
_atom_site_fract_x
_atom_site_fract_y
_atom_site_fract_z
K1 K 0.0000 0.2002 0.2500
Gd1 Gd 0.0000 0.2294 0.7500
Mo1 Mo 0.1957 0.4985 0.2392
O1 O 0.0240 0.3919 0.9720
O2 O 0.1275 0.0788 0.6906
O3 O 0.1907 0.4230 0.4381
O4 O 0.2263 0.1571 0.1268
```

=====

# 2
This record from the Materials Project database describes a geometry-optimized V2WO6 structure. The functional is PBE with a Hubbard U.

CIF file:
```
data_V2WO6
_chemical_formula_sum 'V4 W2 O12'
_cell_length_a 4.7002
_cell_length_b 4.7002
_cell_length_c 9.1795
_cell_angle_alpha 90.00
_cell_angle_beta 90.00
_cell_angle_gamma 90.00
_symmetry_space_group_name_H-M 'P 42/m n m'
_symmetry_Int_Tables_number 136
_symmetry_space_group_name_Hall '-P 4n 2n'
loop_
_atom_site_label
_atom_site_type_symbol
_atom_site_fract_x
_atom_site_fract_y
_atom_site_fract_z
V1 V 0.0000 0.0000 0.1649
W1 W 0.0000 0.0000 0.5000
O1 O 0.1962 0.1962 0.3411
O2 O 0.2067 0.2067 0.0000
```

=====

# 3
This record from the Materials Project database describes a geometry-optimized LiV3O8 structure. The functional is PBE with a Hubbard U.

## Properties
Its offset from the most stable computed form is 92 meV/atom.

CIF file:
```
data_LiV3O8
_chemical_formula_sum 'Li2 V6 O16'
_cell_length_a 12.5204
_cell_length_b 3.5223
_cell_length_c 6.9443
_cell_angle_alpha 90.00
_cell_angle_beta 107.24
_cell_angle_gamma 90.00
_symmetry_space_group_name_H-M 'C 1 m 1'
_symmetry_Int_Tables_number 8
_symmetry_space_group_name_Hall 'C -2y'
loop_
_atom_site_label
_atom_site_type_symbol
_atom_site_fract_x
_atom_site_fract_y
_atom_site_fract_z
Li1 Li 0.0000 0.0000 0.0000
V1 V 0.0144 0.5000 0.4270
V2 V 0.2162 0.0000 0.3520
V3 V 0.2969 0.0000 0.9271
O1 O 0.0263 0.0000 0.3519
O2 O 0.0471 0.5000 0.6686
O3 O 0.1640 0.0000 0.1000
O4 O 0.1717 0.5000 0.3934
O5 O 0.2616 0.0000 0.6753
O6 O 0.2767 0.5000 0.9814
O7 O 0.3568 0.0000 0.3707
O8 O 0.4401 0.0000 0.0141
```

=====

# 4
This record from the Materials Project database describes a geometry-optimized FeOF structure. The functional is PBE with a Hubbard U.

CIF file:
```
data_FeOF
_chemical_formula_sum 'Fe6 O6 F6'
_cell_length_a 4.7592
_cell_length_b 3.0906
_cell_length_c 14.3033
_cell_angle_alpha 90.00
_cell_angle_beta 92.14
_cell_angle_gamma 90.00
_symmetry_space_group_name_H-M 'P 1 m 1'
_symmetry_Int_Tables_number 6
_symmetry_space_group_name_Hall 'P -2y'
loop_
_atom_site_label
_atom_site_type_symbol
_atom_site_fract_x
_atom_site_fract_y
_atom_site_fract_z
Fe1 Fe 0.0000 0.0000 0.0000
Fe2 Fe 0.0306 0.0000 0.3350
Fe3 Fe 0.0800 0.0000 0.6685
Fe4 Fe 0.5442 0.5000 0.8352
Fe5 Fe 0.5982 0.5000 0.1664
Fe6 Fe 0.6291 0.5000 0.5021
O1 O 0.3597 0.0000 0.7646
O2 O 0.7401 0.0000 0.8943
O3 O 0.7553 0.0000 0.2313
O4 O 0.7789 0.0000 0.5702
O5 O 0.8519 0.5000 0.0639
O6 O 0.8820 0.5000 0.3998
F1 F 0.2403 0.5000 0.9377
F2 F 0.2597 0.5000 0.2701
F3 F 0.2721 0.5000 0.5987
F4 F 0.3542 0.0000 0.1016
F5 F 0.3826 0.0000 0.4368
F6 F 0.8769 0.5000 0.7301
```

=====

# 5
This record from the Materials Project database describes a geometry-optimized Li6FeO3F3 structure. The functional is PBE with a Hubbard U.

## Properties
As for the piezoelectric modulus e_max: 1.14 C/m².

CIF file:
```
data_Li6FeO3F3
_chemical_formula_sum 'Li24 Fe4 O12 F12'
_cell_length_a 5.3954
_cell_length_b 16.5494
_cell_length_c 6.9231
_cell_angle_alpha 90.00
_cell_angle_beta 105.99
_cell_angle_gamma 90.00
_symmetry_space_group_name_H-M 'P 1 m 1'
_symmetry_Int_Tables_number 6
_symmetry_space_group_name_Hall 'P -2y'
loop_
_atom_site_label
_atom_site_type_symbol
_atom_site_fract_x
_atom_site_fract_y
_atom_site_fract_z
Li1 Li 0.0000 0.0755 0.9999
Li2 Li 0.0000 0.1745 0.5000
Li3 Li 0.0001 0.3255 0.4999
Li4 Li 0.0000 0.4245 0.0000
Li5 Li 0.3333 0.0911 0.3332
Li6 Li 0.3335 0.1588 0.8334
Li7 Li 0.3334 0.3412 0.8334
Li8 Li 0.3334 0.4088 0.3334
Li9 Li 0.6353 0.0834 0.6824
Li10 Li 0.6352 0.1667 0.1823
Li11 Li 0.6353 0.3333 0.1824
Li12 Li 0.6354 0.4167 0.6824
Fe1 Fe 0.0585 0.2500 0.0740
Fe2 Fe 0.0586 0.0000 0.5742
Fe3 Fe 0.0587 0.5000 0.5741
O1 O 0.2647 0.0932 0.5940
O2 O 0.2648 0.1567 0.0941
O3 O 0.2646 0.3433 0.0941
O4 O 0.2650 0.4068 0.5940
O5 O 0.8917 0.2500 0.2800
O6 O 0.8926 0.0000 0.7803
O7 O 0.8925 0.5000 0.7803
F1 F 0.0994 0.0000 0.2263
F2 F 0.0997 0.5000 0.2274
F3 F 0.1017 0.2500 0.7280
F4 F 0.7120 0.0973 0.4222
F5 F 0.7121 0.1533 0.9221
F6 F 0.7120 0.3467 0.9222
F7 F 0.7125 0.4029 0.4220
```

=====

# 6
This record from the Materials Project database describes a geometry-optimized LiFe6O4F8 structure. The functional is PBE with a Hubbard U.

## Properties
Its offset from the most stable computed form is 24 meV/atom.

CIF file:
```
data_LiFe6O4F8
_chemical_formula_sum 'Li1 Fe6 O4 F8'
_cell_length_a 5.8207
_cell_length_b 5.8275
_cell_length_c 7.8888
_cell_angle_alpha 69.40
_cell_angle_beta 69.53
_cell_angle_gamma 69.32
_symmetry_space_group_name_H-M 'P 1'
_symmetry_Int_Tables_number 1
_symmetry_space_group_name_Hall 'P 1'
loop_
_atom_site_label
_atom_site_type_symbol
_atom_site_fract_x
_atom_site_fract_y
_atom_site_fract_z
Li1 Li 0.0000 0.0000 0.0000
Fe1 Fe 0.2454 0.7452 0.2789
Fe2 Fe 0.2943 0.7033 0.7422
Fe3 Fe 0.5453 0.0973 0.9160
Fe4 Fe 0.5867 0.0908 0.4263
Fe5 Fe 0.9272 0.4351 0.5875
Fe6 Fe 0.9413 0.4044 0.1064
O1 O 0.2072 0.0760 0.1014
O2 O 0.2887 0.3847 0.4275
O3 O 0.6014 0.4260 0.7481
O4 O 0.8884 0.7856 0.4273
F1 F 0.0347 0.4894 0.7950
F2 F 0.1617 0.6501 0.0598
F3 F 0.3719 0.8579 0.4432
F4 F 0.4920 0.9780 0.7058
F5 F 0.6267 0.7064 0.0988
F6 F 0.6854 0.1704 0.1414
F7 F 0.8177 0.3018 0.4054
F8 F 0.9837 0.0202 0.7634
```

=====

# 7
This record from the Materials Project database describes a geometry-optimized MgFe3Co5O16 structure. The functional is PBE with a Hubbard U.

## Properties
Its offset from the most stable computed form is 0 meV/atom.

CIF file:
```
data_MgFe3Co5O16
_chemical_formula_sum 'Mg1 Fe3 Co5 O16'
_cell_length_a 5.6977
_cell_length_b 5.9065
_cell_length_c 8.8913
_cell_angle_alpha 93.29
_cell_angle_beta 90.25
_cell_angle_gamma 118.82
_symmetry_space_group_name_H-M 'P 1'
_symmetry_Int_Tables_number 1
_symmetry_space_group_name_Hall 'P 1'
loop_
_atom_site_label
_atom_site_type_symbol
_atom_site_fract_x
_atom_site_fract_y
_atom_site_fract_z
Mg1 Mg 0.0000 0.0000 0.0000
Fe1 Fe 0.0064 0.5105 0.8084
Fe2 Fe 0.1652 0.3205 0.3400
Fe3 Fe 0.5080 0.5083 0.8090
Co1 Co 0.0074 0.9998 0.5949
Co2 Co 0.1641 0.8167 0.3275
Co3 Co 0.5098 0.0118 0.8131
Co4 Co 0.6615 0.8175 0.3278
Co5 Co 0.6752 0.3449 0.1057
O1 O 0.1684 0.3226 0.7058
O2 O 0.1740 0.8567 0.7161
O3 O 0.2849 0.1109 0.4623
O4 O 0.3399 0.6697 0.4348
O5 O 0.3615 0.6975 0.9156
O6 O 0.3849 0.1882 0.9566
O7 O 0.4824 0.9580 0.2281
O8 O 0.5057 0.4865 0.2181
O9 O 0.6503 0.3160 0.7054
O10 O 0.6921 0.8599 0.7141
O11 O 0.8115 0.6312 0.9492
O12 O 0.8147 0.1970 0.9541
O13 O 0.8384 0.1146 0.4626
O14 O 0.8587 0.7079 0.4517
O15 O 0.9877 0.4872 0.2169
O16 O 0.9913 0.9758 0.2199
```

=====

# 8
This record from the Materials Project database describes a geometry-optimized LiFe8O12 structure. The functional is PBE with a Hubbard U.

## Properties
Its offset from the most stable computed form is 155 meV/atom.

CIF file:
```
data_LiFe8O12
_chemical_formula_sum 'Li1 Fe8 O12'
_cell_length_a 5.2610
_cell_length_b 5.3593
_cell_length_c 7.6662
_cell_angle_alpha 89.23
_cell_angle_beta 88.26
_cell_angle_gamma 89.42
_symmetry_space_group_name_H-M 'P 1'
_symmetry_Int_Tables_number 1
_symmetry_space_group_name_Hall 'P 1'
loop_
_atom_site_label
_atom_site_type_symbol
_atom_site_fract_x
_atom_site_fract_y
_atom_site_fract_z
Li1 Li 0.0000 0.0000 0.0000
Fe1 Fe 0.1295 0.1507 0.6789
Fe2 Fe 0.1442 0.5703 0.9112
Fe3 Fe 0.1525 0.6501 0.4150
Fe4 Fe 0.1650 0.1068 0.2334
Fe5 Fe 0.5992 0.0901 0.8992
Fe6 Fe 0.6474 0.6431 0.6890
Fe7 Fe 0.6476 0.1469 0.4098
Fe8 Fe 0.6519 0.5868 0.1908
O1 O 0.0068 0.7058 0.1449
O2 O 0.2678 0.2199 0.9565
O3 O 0.2882 0.5127 0.6532
O4 O 0.3739 0.3856 0.3157
O5 O 0.4544 0.8635 0.3131
O6 O 0.4911 0.0142 0.6501
O7 O 0.4960 0.7179 0.9542
O8 O 0.7803 0.2089 0.1463
O9 O 0.8046 0.5068 0.4600
O10 O 0.8372 0.3565 0.8022
O11 O 0.9358 0.8582 0.7982
O12 O 0.9919 0.0051 0.4680
```

=====

Calculated formation energy for the records above, in order: -30.2 -21.8 -27.0 -6.1 -31.9 -41.7 -32.3 -31.7 eV per formula unit